Entry 1:
First-principles (PBE) data for a relaxed NaSn5 crystal, as listed in Materials Project.

abc: 6.4130 6.4130 8.9879
angles: 90.00 90.00 90.00
Closest atoms and distances in Å follow each position.
Space group P-42_1m (No. 113)
One atom of each set of equivalent atoms:
Na 0.0000 0.5000 0.2058 (multiplicity 2)  6 Sn 3.11-3.49
Sn 0.0000 0.0000 0.0000 (multiplicity 2)  4 Sn 2.92
Sn 0.1575 0.3425 0.8172 (multiplicity 4)  4 Sn 2.86-2.96, 1 Na 3.11
Sn 0.2483 0.2517 0.5010 (multiplicity 4)  5 Sn 2.96-3.21

Output
Energy of formation (meV/atom): -61
Crystal system: tetragonal

Entry 2:
First-principles (PBE) data for a relaxed Na2SrSn4 crystal, as listed in Materials Project.

abc: 19.3349 6.7364 6.6594
angles: 90.00 94.07 90.00
Closest atoms and distances in Å follow each position.
Space group C2/c (No. 15)
One atom of each set of equivalent atoms:
Na 0.2020 0.0980 0.1999 (multiplicity 8)  5 Sn 3.21-3.48, 2 Na 3.58
Sr 0.0000 0.2789 0.2500 (multiplicity 4)  12 Sn 3.57-3.82
Sn 0.0776 0.2029 0.7726 (multiplicity 8)  3 Sn 2.99-3.00, 1 Na 3.21
Sn 0.1534 0.4787 0.5138 (multiplicity 8)  4 Sn 2.99-3.34, 3 Na 3.22-3.32

Output
Energy of formation (meV/atom): -354
Crystal system: monoclinic

Entry 3:
First-principles (PBE) data for a relaxed Na4SnTe4 crystal, as listed in Materials Project.

abc: 8.7465 8.8915 15.4102
angles: 90.00 90.00 90.00
Closest atoms and distances in Å follow each position.
Space group P2_12_12_1 (No. 19)
One atom of each set of equivalent atoms:
Na 0.0144 0.0399 0.0839 (multiplicity 4)  3 Te 3.23-3.41
Na 0.1192 0.6431 0.8714 (multiplicity 4)  5 Te 3.17-3.30
Na 0.1247 0.7686 0.6335 (multiplicity 4)  4 Te 3.12-3.22
Na 0.1672 0.6307 0.1336 (multiplicity 4)  5 Te 3.19-3.36
Sn 0.2210 0.9308 0.3734 (multiplicity 4)  4 Te 2.79-2.80
Te 0.0151 0.3481 0.2383 (multiplicity 4)  1 Sn 2.79
Te 0.0154 0.9609 0.7911 (multiplicity 4)  1 Sn 2.80, 1 Na 3.12
Te 0.1451 0.1624 0.4885 (multiplicity 4)  1 Sn 2.80
Te 0.1871 0.3198 0.9692 (multiplicity 4)  1 Sn 2.79, 1 Na 3.12

Output
Maximum piezoelectric response (C/m2): 0.7
Energy of formation (meV/atom): -886
Crystal system: orthorhombic

Entry 4:
First-principles (PBE) data for a relaxed Na5TlSn3 crystal, as listed in Materials Project.

abc: 7.2844 13.7834 11.5087
angles: 90.00 105.10 90.00
Closest atoms and distances in Å follow each position.
Space group P2_1/c (No. 14)
One atom of each set of equivalent atoms:
Na 0.0400 0.0885 0.3454 (multiplicity 4)  1 Tl 3.24, 4 Sn 3.26-3.59
Na 0.0569 0.1871 0.0350 (multiplicity 4)  4 Sn 3.19-3.56, 1 Tl 3.24, 1 Na 3.50
Na 0.3447 0.5534 0.6635 (multiplicity 4)  3 Sn 3.17-3.39, 2 Tl 3.23-3.40
Na 0.3675 0.6080 0.0253 (multiplicity 4)  3 Sn 3.18-3.25, 1 Na 3.48
Na 0.4460 0.6861 0.3708 (multiplicity 4)  3 Sn 3.30-3.44, 1 Tl 3.34, 2 Na 3.48-3.50
Tl 0.2207 0.0221 0.8885 (multiplicity 4)  3 Sn 3.18-3.21, 5 Na 3.23-3.40
Sn 0.0620 0.6720 0.7775 (multiplicity 4)  2 Sn 3.00-3.03, 4 Na 3.17-3.35, 1 Tl 3.18
Sn 0.2624 0.0937 0.6308 (multiplicity 4)  2 Sn 2.96-3.03, 3 Na 3.20-3.26, 1 Tl 3.21
Sn 0.3405 0.2351 0.8315 (multiplicity 4)  2 Sn 2.96-3.00, 3 Na 3.18-3.30, 1 Tl 3.18

Output
Energy of formation (meV/atom): -191
Crystal system: monoclinic

Entry 5:
First-principles (PBE) data for a relaxed NaTl2Sn crystal, as listed in Materials Project.

abc: 7.7876 7.7876 7.7876
angles: 90.00 90.00 90.00
Closest atoms and distances in Å follow each position.
Space group Fm-3m (No. 225)
One atom of each set of equivalent atoms:
Na 0.0000 0.0000 0.0000 (multiplicity 4)  8 Tl 3.37
Tl 0.2500 0.2500 0.2500 (multiplicity 8)  4 Sn 3.37, 4 Na 3.37
Sn 0.0000 0.0000 0.5000 (multiplicity 4)  8 Tl 3.37

Output
Energy of formation (meV/atom): -78
Crystal system: cubic

Entry 6:
First-principles (PBE) data for a relaxed Na20Zn8Sn11 crystal, as listed in Materials Project.

abc: 16.2888 9.3449 27.8432
angles: 90.00 102.96 90.00
Closest atoms and distances in Å follow each position.
Space group C2 (No. 5)
One atom of each set of equivalent atoms:
Na 0.0142 0.0000 0.4367 (multiplicity 4)  5 Sn 3.19-3.43, 3 Zn 3.31-3.35, 1 Na 3.54
Na 0.0147 0.4272 0.9394 (multiplicity 4)  5 Zn 3.18-3.30, 4 Sn 3.20-3.51, 1 Na 3.51
Na 0.0241 0.6002 0.8113 (multiplicity 4)  4 Sn 3.32-3.54, 4 Na 3.46-3.60
Na 0.0242 0.8334 0.3109 (multiplicity 4)  4 Sn 3.31-3.55, 4 Na 3.45-3.59
Na 0.0654 0.9484 0.1881 (multiplicity 4)  4 Sn 3.28-3.46, 1 Zn 3.35, 4 Na 3.49-3.59
Na 0.0655 0.4846 0.6892 (multiplicity 4)  1 Zn 3.25, 4 Sn 3.28-3.43, 4 Na 3.49-3.60
Na 0.0913 0.1225 0.7501 (multiplicity 4)  1 Zn 2.97, 2 Sn 3.14-3.18
Na 0.0914 0.3103 0.2498 (multiplicity 4)  1 Zn 2.97, 2 Sn 3.15-3.17
Na 0.1531 0.5005 0.3558 (multiplicity 4)  3 Zn 3.27-3.66, 4 Sn 3.34-3.43, 5 Na 3.40-3.65
Na 0.1533 0.9329 0.8572 (multiplicity 4)  4 Sn 3.35-3.40, 3 Zn 3.41-3.68, 6 Na 3.42-3.69
Na 0.1562 0.6199 0.1428 (multiplicity 4)  4 Sn 3.32-3.42, 2 Zn 3.35-3.44, 6 Na 3.46-3.70
Na 0.1570 0.1909 0.6441 (multiplicity 4)  5 Sn 3.36-3.54, 6 Na 3.42-3.74, 2 Zn 3.44-3.66
Na 0.1565 0.2422 0.1426 (multiplicity 4)  4 Sn 3.34-3.42, 3 Zn 3.39-3.69, 6 Na 3.44-3.70
Na 0.1568 0.8155 0.6446 (multiplicity 4)  4 Sn 3.28-3.40, 2 Zn 3.31-3.54, 5 Na 3.45-3.61
Na 0.2039 0.8145 0.4380 (multiplicity 4)  5 Sn 3.21-3.51, 3 Zn 3.25-3.37, 2 Na 3.53-3.54
Na 0.2065 0.1919 0.4372 (multiplicity 4)  4 Sn 3.19-3.24, 4 Zn 3.23-3.38, 1 Na 3.53
Na 0.2068 0.2375 0.9394 (multiplicity 4)  4 Sn 3.20-3.49, 5 Zn 3.25-3.32, 1 Na 3.50
Na 0.2079 0.6218 0.9400 (multiplicity 4)  4 Sn 3.24-3.48, 4 Zn 3.25-3.37, 2 Na 3.50-3.59
Na 0.2143 0.0263 0.3102 (multiplicity 4)  4 Sn 3.30-3.50, 4 Na 3.48-3.60
Na 0.2150 0.4071 0.8107 (multiplicity 4)  4 Sn 3.31-3.51, 4 Na 3.47-3.60
Zn 0.0226 0.0868 0.9223 (multiplicity 4)  3 Sn 2.70-2.93, 3 Zn 2.72-2.85
Zn 0.0264 0.3528 0.4173 (multiplicity 4)  3 Sn 2.66-2.86, 1 Zn 2.82
Zn 0.0844 0.1799 0.0159 (multiplicity 4)  4 Zn 2.69-2.85, 2 Sn 2.85-2.88
Zn 0.0853 0.7428 0.5174 (multiplicity 4)  2 Zn 2.73-2.78, 4 Sn 2.84-2.91
Zn 0.0881 0.6850 0.0186 (multiplicity 4)  2 Zn 2.83-2.87, 4 Sn 2.84-2.91
Zn 0.1560 0.5087 0.4801 (multiplicity 4)  2 Zn 2.78-2.82, 4 Sn 2.80-2.99
Zn 0.1569 0.9333 0.9815 (multiplicity 4)  3 Zn 2.82-2.87, 3 Sn 2.83-2.87
Zn 0.2499 0.4671 0.2498 (multiplicity 4)  2 Sn 2.59
Sn 0.0241 0.6587 0.4179 (multiplicity 4)  4 Zn 2.81-2.91, 1 Sn 2.99
Sn 0.0246 0.7733 0.9192 (multiplicity 4)  4 Zn 2.85-2.93, 1 Sn 3.01
Sn 0.0490 0.1792 0.3457 (multiplicity 4)  1 Zn 2.66
Sn 0.0489 0.2507 0.8474 (multiplicity 4)  1 Zn 2.70
Sn 0.0932 0.2618 0.5162 (multiplicity 4)  3 Zn 2.80-3.09, 3 Sn 2.97-3.00
Sn 0.1343 0.9364 0.0792 (multiplicity 4)  4 Zn 2.83-2.91, 1 Sn 3.01
Sn 0.1386 0.5083 0.5847 (multiplicity 4)  3 Zn 2.89-3.04, 2 Sn 2.98-2.99, 1 Na 3.22
Sn 0.1748 0.7055 0.2605 (multiplicity 4)  1 Zn 2.59
Sn 0.1753 0.7280 0.7606 (multiplicity 4)  1 Zn 2.59
Sn 0.1834 0.4305 0.0429 (multiplicity 4)  3 Zn 2.83-2.85
Sn 0.1870 0.9882 0.5456 (multiplicity 4)  2 Zn 2.81-2.84, 1 Sn 3.00

Output
Energy of formation (meV/atom): -172
Crystal system: monoclinic

E (computed, eV per atom): -3.623; -3.265; -3.129; -2.524; -2.592; -2.239